1.
A geometry-optimized EuCl3 structure, computed with r²SCAN.

Cell and atoms, written as CIF:
```
data_EuCl3
_chemical_formula_sum 'Eu2 Cl6'
_cell_length_a 7.385
_cell_length_b 4.230
_cell_length_c 7.474
_cell_angle_alpha 90.00
_cell_angle_beta 118.99
_cell_angle_gamma 90.00
_symmetry_space_group_name_H-M 'P 1'
_symmetry_Int_Tables_number 1
loop_
_symmetry_equiv_pos_as_xyz
'x,y,z'
loop_
_atom_site_label
_atom_site_fract_x
_atom_site_fract_y
_atom_site_fract_z
Eu1 0.164 0.250 0.329
Eu2 0.836 0.750 0.671
Cl1 0.117 0.250 0.696
Cl2 0.199 0.750 0.087
Cl3 0.412 0.750 0.604
Cl4 0.588 0.250 0.396
Cl5 0.801 0.250 0.913
Cl6 0.883 0.750 0.304
```

Results
DFT total energy (eV for the cell shown): -131.0
Calculated formation energy (eV per atom): -2.125
Total moment (μB/f.u.): 6.0

2.
A geometry-optimized EuCl3 structure, computed with r²SCAN.

Cell and atoms, written as CIF:
```
data_EuCl3
_chemical_formula_sum 'Eu2 Cl6'
_cell_length_a 7.435
_cell_length_b 4.223
_cell_length_c 7.486
_cell_angle_alpha 90.00
_cell_angle_beta 119.54
_cell_angle_gamma 90.00
_symmetry_space_group_name_H-M 'P 1'
_symmetry_Int_Tables_number 1
loop_
_symmetry_equiv_pos_as_xyz
'x,y,z'
loop_
_atom_site_label
_atom_site_fract_x
_atom_site_fract_y
_atom_site_fract_z
Eu1 0.000 0.000 0.000
Eu2 0.336 0.500 0.665
Cl1 0.059 0.000 0.424
Cl2 0.274 0.500 0.249
Cl3 0.358 0.000 0.943
Cl4 0.585 0.000 0.638
Cl5 0.751 0.500 0.032
Cl6 0.971 0.500 0.725
```

Results
DFT total energy (eV for the cell shown): -131.0
Calculated formation energy (eV per atom): -2.126
Total moment (μB/f.u.): 6.0

3.
A geometry-optimized EuClF structure, computed with r²SCAN.

Cell and atoms, written as CIF:
```
data_EuClF
_chemical_formula_sum 'Eu2 Cl2 F2'
_cell_length_a 4.084
_cell_length_b 4.084
_cell_length_c 6.979
_cell_angle_alpha 90.00
_cell_angle_beta 90.00
_cell_angle_gamma 90.00
_symmetry_space_group_name_H-M 'P 1'
_symmetry_Int_Tables_number 1
loop_
_symmetry_equiv_pos_as_xyz
'x,y,z'
loop_
_atom_site_label
_atom_site_fract_x
_atom_site_fract_y
_atom_site_fract_z
Eu1 0.250 0.250 0.206
Eu2 0.750 0.750 0.794
Cl1 0.250 0.250 0.645
Cl2 0.750 0.750 0.355
F1 0.250 0.750 0.000
F2 0.750 0.250 0.000
```

Results
DFT total energy (eV for the cell shown): -116.4
Calculated formation energy (eV per atom): -3.462
Total moment (μB/f.u.): 7.0

4.
A geometry-optimized Eu2H3Cl structure, computed with r²SCAN.

Cell and atoms, written as CIF:
```
data_Eu2H3Cl
_chemical_formula_sum 'Eu2 H3 Cl1'
_cell_length_a 4.032
_cell_length_b 4.032
_cell_length_c 6.755
_cell_angle_alpha 90.00
_cell_angle_beta 90.00
_cell_angle_gamma 120.00
_symmetry_space_group_name_H-M 'P 1'
_symmetry_Int_Tables_number 1
loop_
_symmetry_equiv_pos_as_xyz
'x,y,z'
loop_
_atom_site_label
_atom_site_fract_x
_atom_site_fract_y
_atom_site_fract_z
Eu1 0.333 0.667 0.299
Eu2 0.667 0.333 0.701
H1 0.000 0.000 0.500
H2 0.333 0.667 0.654
H3 0.667 0.333 0.346
Cl1 0.000 0.000 0.000
```

Results
DFT total energy (eV for the cell shown): -100.8
Calculated formation energy (eV per atom): -1.207
Total moment (μB/f.u.): 14.0

5.
A geometry-optimized EuICl structure, computed with r²SCAN.

Cell and atoms, written as CIF:
```
data_EuICl
_chemical_formula_sum 'Eu4 I4 Cl4'
_cell_length_a 8.216
_cell_length_b 4.685
_cell_length_c 9.483
_cell_angle_alpha 90.00
_cell_angle_beta 90.00
_cell_angle_gamma 90.00
_symmetry_space_group_name_H-M 'P 1'
_symmetry_Int_Tables_number 1
loop_
_symmetry_equiv_pos_as_xyz
'x,y,z'
loop_
_atom_site_label
_atom_site_fract_x
_atom_site_fract_y
_atom_site_fract_z
Eu1 0.214 0.250 0.123
Eu2 0.286 0.750 0.623
Eu3 0.714 0.250 0.377
Eu4 0.786 0.750 0.877
I1 0.026 0.750 0.332
I2 0.474 0.250 0.832
I3 0.526 0.750 0.168
I4 0.974 0.250 0.668
Cl1 0.143 0.750 0.937
Cl2 0.357 0.250 0.437
Cl3 0.643 0.750 0.563
Cl4 0.857 0.250 0.063
```

Results
DFT total energy (eV for the cell shown): -304.4
Calculated formation energy (eV per atom): -2.291
Total moment (μB/f.u.): 7.0

6.
A geometry-optimized KEu2Cl5 structure, computed with r²SCAN.

Cell and atoms, written as CIF:
```
data_KEu2Cl5
_chemical_formula_sum 'K4 Eu8 Cl20'
_cell_length_a 8.800
_cell_length_b 7.825
_cell_length_c 12.610
_cell_angle_alpha 90.00
_cell_angle_beta 90.05
_cell_angle_gamma 90.00
_symmetry_space_group_name_H-M 'P 1'
_symmetry_Int_Tables_number 1
loop_
_symmetry_equiv_pos_as_xyz
'x,y,z'
loop_
_atom_site_label
_atom_site_fract_x
_atom_site_fract_y
_atom_site_fract_z
K1 0.007 0.038 0.329
K2 0.007 0.462 0.829
K3 0.993 0.538 0.171
K4 0.993 0.962 0.671
Eu1 0.250 0.570 0.494
Eu2 0.250 0.930 0.994
Eu3 0.499 0.522 0.178
Eu4 0.499 0.978 0.678
Eu5 0.501 0.022 0.322
Eu6 0.501 0.478 0.822
Eu7 0.750 0.070 0.006
Eu8 0.750 0.430 0.506
Cl1 0.037 0.166 0.091
Cl2 0.037 0.334 0.591
Cl3 0.270 0.695 0.717
Cl4 0.270 0.805 0.217
Cl5 0.281 0.546 0.998
Cl6 0.281 0.954 0.498
Cl7 0.283 0.170 0.817
Cl8 0.283 0.330 0.317
Cl9 0.461 0.160 0.101
Cl10 0.461 0.340 0.601
Cl11 0.539 0.660 0.399
Cl12 0.539 0.840 0.899
Cl13 0.717 0.670 0.683
Cl14 0.717 0.830 0.183
Cl15 0.719 0.046 0.502
Cl16 0.719 0.454 0.002
Cl17 0.730 0.195 0.783
Cl18 0.730 0.305 0.283
Cl19 0.963 0.666 0.409
Cl20 0.963 0.834 0.909
```

Results
DFT total energy (eV for the cell shown): -537.5
Calculated formation energy (eV per atom): -2.568
Total moment (μB/f.u.): 0.0

- The lowest DFT total energy belongs to which entry?
  KEu2Cl5